Here is crystalline Zr3N2O3 at its relaxed geometry from the Materials Project database. Energies are from r²SCAN.

Size of the total moment: 0.000 μB per atom
ΔE to the lowest computed polymorph: 0.03 eV per formula unit
Symmetry: Cmcm, No. 63
E_form: -2940 meV/atom
Final energy: -15.99 eV per atom
Crystal system: orthorhombic

a = 4.0477 Å, b = 5.6966 Å, c = 10.6514 Å
α = 90.00°, β = 90.00°, γ = 110.81°
With the nearest neighbours (Å) after each atom.
Sites, in units of the cell vectors:
Zr: 0.1906 0.3812 0.2500  4 O 2.12-2.13, 2 N 2.15
Zr: 0.1434 0.2868 0.9422  3 O 2.08-2.33, 3 N 2.13-2.20
Zr: 0.1434 0.2868 0.5578  3 O 2.08-2.33, 3 N 2.13-2.20
Zr: 0.8094 0.6188 0.7500  4 O 2.12-2.13, 2 N 2.15
Zr: 0.8566 0.7132 0.0578  3 O 2.08-2.33, 3 N 2.13-2.20
Zr: 0.8566 0.7132 0.4422  3 O 2.08-2.33, 3 N 2.13-2.20
N: 0.2985 0.5971 0.4210  4 Zr 2.13-2.20
N: 0.2985 0.5971 0.0790  4 Zr 2.13-2.20
N: 0.7015 0.4029 0.5790  4 Zr 2.13-2.20
N: 0.7015 0.4029 0.9210  4 Zr 2.13-2.20
O: 0.2471 0.4943 0.7500  4 Zr 2.13-2.33
O: 0.0435 0.0870 0.1156  3 Zr 2.08-2.13
O: 0.0435 0.0870 0.3844  3 Zr 2.08-2.13
O: 0.7529 0.5057 0.2500  4 Zr 2.13-2.33
O: 0.9565 0.9130 0.8844  3 Zr 2.08-2.13
O: 0.9565 0.9130 0.6156  3 Zr 2.08-2.13

=====

Here is crystalline Zr3N2O3 at its relaxed geometry from the Materials Project database. Energies are from r²SCAN.

Size of the total moment: 0.000 μB per atom
ΔE to the lowest computed polymorph: 0.00 eV per formula unit
Symmetry: Cm, No. 8
E_form: -2944 meV/atom
Final energy: -16.00 eV per atom
Crystal system: monoclinic

a = 4.0528 Å, b = 5.6764 Å, c = 10.6602 Å
α = 90.36°, β = 90.00°, γ = 110.92°
With the nearest neighbours (Å) after each atom.
Sites, in units of the cell vectors:
Zr: 0.1442 0.2885 0.5659  4 O 2.08-2.24, 2 N 2.14-2.21
Zr: 0.1465 0.2930 0.9367  2 O 2.09-2.20, 4 N 2.12-2.27
Zr: 0.1916 0.3831 0.2482  4 O 2.08-2.14, 2 N 2.13-2.20
Zr: 0.8091 0.6181 0.7561  3 O 2.07-2.30, 3 N 2.13-2.17
Zr: 0.8589 0.7177 0.0599  2 O 2.07-2.14, 3 N 2.13-2.17
Zr: 0.8616 0.7234 0.4370  2 O 2.01-2.10, 2 N 2.14
N: 0.2975 0.5950 0.4265  4 Zr 2.14-2.21
N: 0.3019 0.6036 0.0818  4 Zr 2.13-2.25
N: 0.2374 0.4749 0.7443  4 Zr 2.14-2.27
N: 0.7038 0.4075 0.9253  4 Zr 2.12-2.17
O: 0.0460 0.0919 0.1161  3 Zr 2.07-2.20
O: 0.0420 0.0840 0.3814  3 Zr 2.01-2.24
O: 0.9536 0.9070 0.6119  3 Zr 2.08-2.18
O: 0.9564 0.9128 0.8847  3 Zr 2.07-2.14
O: 0.6947 0.3896 0.5717  4 Zr 2.10-2.30
O: 0.7549 0.5098 0.2524  4 Zr 2.14-2.34